(1)
Density functional theory data (GGA-PBE) for a relaxed structure of Zn2SiO4.

Calculated values
- DFT total energy (eV/cell) = -168.19

Cell: 10.4355 6.7439 5.1429 Å, 90.00 90.00 90.00°
With the nearest neighbours (Å) after each atom.
Fractional coordinates of all 28 atoms:
Zn (0.1556, 0.0006, 0.1740)  4 O 1.99-2.01
Zn (0.1556, 0.4994, 0.1740)  4 O 1.99-2.01
Zn (0.3444, 0.5006, 0.6740)  4 O 1.99-2.01
Zn (0.3444, 0.9994, 0.6740)  4 O 1.99-2.01
Zn (0.6556, 0.0006, 0.3260)  4 O 1.99-2.01
Zn (0.6556, 0.4994, 0.3260)  4 O 1.99-2.01
Zn (0.8444, 0.5006, 0.8260)  4 O 1.99-2.01
Zn (0.8444, 0.9994, 0.8260)  4 O 1.99-2.01
Si (0.0930, 0.7500, 0.6765)  4 O 1.64-1.65
Si (0.4070, 0.2500, 0.1765)  4 O 1.64-1.65
Si (0.5930, 0.7500, 0.8235)  4 O 1.64-1.65
Si (0.9070, 0.2500, 0.3235)  4 O 1.64-1.65
O (0.0586, 0.2500, 0.2359)  1 Si 1.64
O (0.1120, 0.7500, 0.3578)  1 Si 1.65
O (0.1640, 0.5506, 0.7942)  1 Si 1.65
O (0.1640, 0.9494, 0.7942)  1 Si 1.65
O (0.3360, 0.0506, 0.2942)  1 Si 1.65
O (0.3360, 0.4494, 0.2942)  1 Si 1.65
O (0.3880, 0.2500, 0.8578)  1 Si 1.65
O (0.4414, 0.7500, 0.7359)  1 Si 1.64
O (0.5586, 0.2500, 0.2641)  1 Si 1.64
O (0.6120, 0.7500, 0.1422)  1 Si 1.65
O (0.6640, 0.5506, 0.7058)  1 Si 1.65
O (0.6640, 0.9494, 0.7058)  1 Si 1.65
O (0.8360, 0.0506, 0.2058)  1 Si 1.65
O (0.8360, 0.4494, 0.2058)  1 Si 1.65
O (0.8880, 0.2500, 0.6422)  1 Si 1.65
O (0.9414, 0.7500, 0.7641)  1 Si 1.64

(2)
Density functional theory data (GGA-PBE) for a relaxed structure of Zn2SiO5.

Calculated values
- magnetization (μB per atom) = 0.000
- DFT total energy (eV/cell) = -92.80

Cell: 7.3222 7.3222 7.3222 Å, 116.32 78.95 138.44°
With the nearest neighbours (Å) after each atom.
Fractional coordinates of all 16 atoms:
Zn (0.1556, 0.2212, 0.3768)  4 O 1.96-2.01
Zn (0.1556, 0.7788, 0.9343)  4 O 1.96-2.01
Zn (0.8444, 0.2212, 0.0657)  4 O 1.96-2.01
Zn (0.8444, 0.7788, 0.6232)  4 O 1.96-2.01
Si (0.3493, 0.4864, 0.8629)  4 O 1.64-1.65
Si (0.6236, 0.4864, 0.1371)  4 O 1.64-1.65
O (0.1412, 0.6412, 0.5000)  2 O 1.47
O (0.1659, 0.1910, 0.6269)  1 Si 1.64
O (0.1659, 0.5390, 0.9749)  1 Si 1.64
O (0.3783, 0.3783, 0.0000)  2 Si 1.65
O (0.5641, 0.1910, 0.0251)  1 Si 1.64
O (0.5641, 0.5390, 0.3731)  1 Si 1.64
O (0.6590, 0.8013, 0.8578)  1 Si 1.64
O (0.9435, 0.8013, 0.1422)  1 Si 1.64
O (0.9766, 0.3217, 0.3450)  1 O 1.47
O (0.9766, 0.6316, 0.6550)  1 O 1.47

(3)
Density functional theory data (GGA-PBE) for a relaxed structure of ZnSiO3.

Calculated values
- magnetization (μB per atom) = 0.000
- DFT total energy (eV/cell) = -261.18

Cell: 9.4287 9.3124 5.2993 Å, 90.00 100.51 90.00°
With the nearest neighbours (Å) after each atom.
Fractional coordinates of all 40 atoms:
Zn (0.2448, 0.0048, 0.4703)  4 O 1.94-2.11
Zn (0.2448, 0.4952, 0.9703)  4 O 1.94-2.11
Zn (0.2498, 0.1460, 0.9770)  4 O 2.02-2.14
Zn (0.2498, 0.3540, 0.4770)  4 O 2.02-2.14
Zn (0.7502, 0.6460, 0.5230)  4 O 2.02-2.14
Zn (0.7502, 0.8540, 0.0230)  4 O 2.02-2.14
Zn (0.7552, 0.5048, 0.0297)  4 O 1.94-2.11
Zn (0.7552, 0.9952, 0.5297)  4 O 1.94-2.11
Si (0.0557, 0.6669, 0.3129)  4 O 1.63-1.67
Si (0.0557, 0.8331, 0.8129)  4 O 1.63-1.67
Si (0.4537, 0.6629, 0.7474)  4 O 1.63-1.65
Si (0.4537, 0.8371, 0.2474)  4 O 1.63-1.65
Si (0.5463, 0.1629, 0.7526)  4 O 1.63-1.65
Si (0.5463, 0.3371, 0.2526)  4 O 1.63-1.65
Si (0.9443, 0.1669, 0.1871)  4 O 1.63-1.67
Si (0.9443, 0.3331, 0.6871)  4 O 1.63-1.67
O (0.1022, 0.7039, 0.6239)  2 Si 1.66-1.67
O (0.1022, 0.7961, 0.1239)  2 Si 1.66-1.67
O (0.1227, 0.1597, 0.2484)  1 Si 1.65
O (0.1227, 0.3403, 0.7484)  1 Si 1.65
O (0.1379, 0.5219, 0.2468)  1 Si 1.63
O (0.1379, 0.9781, 0.7468)  1 Si 1.63
O (0.3680, 0.1635, 0.6972)  1 Si 1.65
O (0.3680, 0.3365, 0.1972)  1 Si 1.65
O (0.3758, 0.5065, 0.7216)  1 Si 1.63
O (0.3758, 0.9935, 0.2216)  1 Si 1.63
O (0.3968, 0.7387, 0.9920)  2 Si 1.64-1.65
O (0.3968, 0.7613, 0.4920)  2 Si 1.64-1.65
O (0.6032, 0.2387, 0.5080)  2 Si 1.64-1.65
O (0.6032, 0.2613, 0.0080)  2 Si 1.64-1.65
O (0.6242, 0.0065, 0.7784)  1 Si 1.63
O (0.6242, 0.4935, 0.2784)  1 Si 1.63
O (0.6320, 0.6635, 0.8028)  1 Si 1.65
O (0.6320, 0.8365, 0.3028)  1 Si 1.65
O (0.8621, 0.0219, 0.2532)  1 Si 1.63
O (0.8621, 0.4781, 0.7532)  1 Si 1.63
O (0.8773, 0.6597, 0.2516)  1 Si 1.65
O (0.8773, 0.8403, 0.7516)  1 Si 1.65
O (0.8978, 0.2039, 0.8761)  2 Si 1.66-1.67
O (0.8978, 0.2961, 0.3761)  2 Si 1.66-1.67